Material: Mg6SiW
Method: DFT, PBE-GGA
State: optimized geometry

Results
- formation energy (meV per atom) = 241
- energy above the lowest structure with this stoichiometry (eV/f.u.) = 0.00
- volume (Å³ per cell) = 305.63

Unit cell a=4.791 b=6.074 c=10.503 alpha=90.00 beta=90.00 gamma=90.00
Atoms (fractional coordinates):
1 Mg 0.500 0.253 0.579
2 Mg 0.500 0.247 0.079
3 Mg 0.500 0.000 0.830
4 Mg 0.000 0.742 0.915
5 Mg 0.000 0.000 0.668
6 Mg 0.500 0.747 0.579
7 Mg 0.000 0.758 0.415
8 Mg 0.000 0.258 0.915
9 Mg 0.500 0.753 0.079
10 Mg 0.000 0.242 0.415
11 Mg 0.500 0.500 0.330
12 Mg 0.000 0.500 0.168
13 Si 0.000 0.000 0.196
14 Si 0.000 0.500 0.696
15 W 0.500 0.500 0.817
16 W 0.500 0.000 0.317

***

Material: SrBiClO2
Method: DFT, PBE-GGA
State: optimized geometry

Results
- formation energy (meV per atom) = -2294
- volume (Å³ per cell) = 209.26
- corrected total energy (MP2020 scheme) (eV for the cell shown) = -57.59

Unit cell a=6.988 b=6.988 c=5.681 alpha=90.00 beta=90.00 gamma=131.02
Atoms (fractional coordinates):
1 Bi 0.419 0.581 0.250
2 Bi 0.581 0.419 0.750
3 O 0.265 0.265 0.000
4 O 0.735 0.735 0.000
5 O 0.735 0.735 0.500
6 O 0.265 0.265 0.500
7 Cl 0.756 0.244 0.250
8 Cl 0.244 0.756 0.750
9 Sr 0.892 0.108 0.750
10 Sr 0.108 0.892 0.250